## VPH5O7 (PBE+U)

Data for a relaxed structure of VPH5O7.

The structure in POSCAR format:
```
VPH5O7
1.0
-0.898 2.242 -6.612
-7.762 2.144 1.781
1.196 9.524 3.067
V P H O
4 4 20 28
Cartesian
-3.877 9.795 -0.822 V
-2.761 8.308 2.269 V
-4.703 5.602 -4.034 V
-3.587 4.115 -0.942 V
-5.337 7.193 0.533 P
-5.754 1.978 0.336 P
-1.710 11.932 -2.101 P
-2.127 6.717 -2.297 P
-0.287 7.654 -3.144 H
-7.240 9.396 1.565 H
-0.847 2.798 -4.400 H
-5.531 11.594 -2.749 H
-7.663 4.197 1.321 H
-5.696 5.749 -1.088 H
-6.446 10.537 0.809 H
-6.621 4.719 2.391 H
-4.572 11.690 0.532 H
-5.546 7.866 -3.769 H
-1.918 6.044 2.005 H
-2.892 2.221 -2.297 H
-0.843 9.192 -4.156 H
-1.018 3.373 -2.573 H
-1.768 8.162 -0.676 H
0.199 9.713 -3.085 H
-1.932 2.317 0.984 H
-6.617 11.112 2.636 H
-0.224 4.514 -3.330 H
-7.177 6.256 1.380 H
0.054 8.992 -3.730 O
-0.268 3.541 -3.233 O
-6.816 7.183 1.042 O
-6.111 11.678 3.362 O
-5.044 10.998 0.015 O
-4.280 9.925 3.143 O
-5.935 6.967 -3.674 O
-5.194 8.352 -0.429 O
-5.134 5.803 -0.278 O
-4.342 7.143 1.683 O
-6.189 4.580 -4.882 O
-4.194 9.963 -2.534 O
-5.070 2.707 -0.812 O
-4.586 4.686 -2.549 O
-2.878 9.224 0.784 O
-2.393 11.204 -0.952 O
-3.270 3.947 0.769 O
-1.275 9.330 3.118 O
-3.122 6.767 -3.447 O
-2.329 8.107 -1.486 O
-2.270 5.558 -1.335 O
-1.529 6.943 1.910 O
-3.184 3.985 -4.907 O
-2.420 2.912 -1.779 O
-1.353 2.232 -5.126 O
-0.648 6.728 -2.806 O
-7.196 10.369 1.469 O
-7.518 4.919 1.966 O
```

The calculation puts the total magnetic moment at 1.000 μB per formula unit. As for the energy above the most stable polymorph in this dataset: 0.739 eV per formula unit. As for the total energy after the MP2020 corrections: -6.5614 eV/atom. Its crystal system is monoclinic. The total energy comes out at -6.10 eV per atom.


## Rb6U2Mo4O21 (PBE+U)

Data for a relaxed structure of Rb6U2Mo4O21.

The structure in POSCAR format:
```
Rb6U2Mo4O21
1.0
-8.336 0.284 -6.134
-8.356 -4.891 3.695
-7.477 10.142 5.204
Rb U Mo O
12 4 8 42
Cartesian
-14.235 -1.267 1.028 Rb
-5.867 1.203 1.948 Rb
-11.273 3.107 3.105 Rb
-9.554 8.136 5.717 Rb
-14.615 -2.601 -2.951 Rb
-11.278 5.625 -1.797 Rb
-18.302 4.333 0.818 Rb
-7.414 -0.496 -2.040 Rb
-12.891 -0.089 4.562 Rb
-12.897 2.429 -0.340 Rb
-16.756 6.031 4.805 Rb
-9.934 6.802 1.737 Rb
-9.768 -0.815 1.839 U
-9.827 2.344 -4.201 U
-14.402 6.350 0.926 U
-14.342 3.191 6.966 U
-11.286 -0.930 -2.030 Mo
-15.460 2.906 2.974 Mo
-12.884 6.466 4.795 Mo
-8.709 2.629 -0.208 Mo
-16.909 0.890 -1.101 Mo
-20.526 4.676 3.976 Mo
-7.260 4.645 3.867 Mo
-3.643 0.859 -1.211 Mo
-7.203 3.511 0.133 O
-14.031 4.125 -2.580 O
-12.867 2.387 6.174 O
-11.225 0.328 2.029 O
-13.375 -3.907 -0.448 O
-10.152 3.579 0.257 O
-5.384 1.191 -1.016 O
-15.393 3.270 4.755 O
-8.549 3.612 3.264 O
-10.138 1.410 5.345 O
-11.262 5.826 4.373 O
-18.786 4.345 3.781 O
-10.238 -1.135 -0.555 O
-10.096 -1.547 3.875 O
-11.302 3.149 -3.409 O
-11.220 -2.668 1.559 O
-10.452 0.220 -3.161 O
-21.222 4.726 2.297 O
-15.495 4.520 2.128 O
-14.073 7.082 -1.110 O
-14.017 1.957 2.509 O
-15.815 4.080 7.613 O
-12.681 8.014 5.632 O
-13.717 5.315 5.926 O
-12.949 8.204 1.206 O
-11.488 -2.478 -2.867 O
-10.794 9.443 3.214 O
-15.620 1.924 -0.498 O
-8.242 0.342 3.249 O
-8.675 1.015 0.637 O
-8.356 -1.949 1.469 O
-13.931 6.670 3.320 O
-16.781 -0.660 -0.133 O
-8.354 1.455 -4.847 O
-7.388 6.195 2.898 O
-12.944 5.207 0.737 O
-16.966 2.025 2.632 O
-2.948 0.810 0.468 O
-12.907 -0.291 -1.608 O
-15.813 7.484 1.297 O
-8.776 2.265 -1.989 O
-15.927 5.194 -0.483 O
```

The calculation puts the total magnetic moment at 0.003 μB per formula unit. As for the total energy after the MP2020 corrections: -7.8604 eV/atom. Its crystal system is triclinic. The total energy comes out at -7.04 eV per atom.


## FePO4F (PBE+U)

Data for a relaxed structure of FePO4F.

The structure in POSCAR format:
```
FePO4F
1.0
-1.772 0.972 -6.000
-10.415 -0.758 2.954
-0.312 12.621 2.137
Fe P O F
8 8 32 8
Cartesian
-9.410 11.042 -0.442 Fe
-5.207 -0.379 1.477 Fe
-0.886 0.486 -3.000 Fe
-3.090 1.793 -0.467 Fe
-8.367 4.246 1.489 Fe
-5.364 5.931 2.545 Fe
-1.042 6.796 -1.931 Fe
-4.132 8.589 -2.398 Fe
-1.268 10.033 -1.898 P
-8.546 11.488 2.716 P
-3.953 1.347 -3.625 P
-5.433 2.857 1.510 P
-0.816 3.560 -1.965 P
-9.276 5.664 -1.353 P
-3.223 7.171 0.444 P
-7.066 9.977 -2.419 P
-8.013 9.843 -1.192 O
-10.741 9.597 -0.139 O
-5.419 10.372 2.904 O
-1.203 11.105 -0.808 O
-8.454 10.366 3.777 O
-8.593 10.775 1.344 O
-2.991 13.112 -1.721 O
-5.494 13.022 -1.559 O
-9.508 -0.277 0.812 O
-7.005 -0.188 0.650 O
-4.045 2.469 -4.686 O
-3.906 2.060 -2.253 O
-7.080 2.463 -3.813 O
-11.296 1.730 -0.101 O
-4.487 2.991 0.283 O
-1.758 3.237 -0.770 O
-6.894 3.005 0.997 O
-9.775 2.843 1.535 O
-6.835 4.924 -3.486 O
-1.247 4.904 -2.555 O
-9.858 4.911 -2.573 O
-8.650 4.581 -0.443 O
-2.098 6.397 -0.295 O
-4.303 6.144 0.878 O
-10.401 6.437 -0.614 O
-8.197 6.691 -1.787 O
-2.642 7.923 1.664 O
-3.850 8.254 -0.466 O
-5.664 7.911 2.577 O
-11.252 7.930 1.646 O
-5.605 9.829 -1.905 O
-2.725 9.992 -2.443 O
-10.710 12.333 0.335 F
-8.179 12.578 -0.741 F
-1.789 0.502 -1.244 F
-4.320 0.257 -0.168 F
-9.765 5.590 1.936 F
-7.039 5.728 1.521 F
-2.734 7.244 -2.845 F
-5.460 7.107 -2.430 F
```

The calculation puts the total magnetic moment at 0.109 μB per formula unit. As for the energy above the most stable polymorph in this dataset: 2.013 eV per formula unit. As for the total energy after the MP2020 corrections: -6.9836 eV/atom. Its crystal system is orthorhombic. The total energy comes out at -6.20 eV per atom.


## Mg14VNiO16 (PBE+U)

Data for a relaxed structure of Mg14VNiO16.

The structure in POSCAR format:
```
Mg14VNiO16
1.0
8.534 0.000 0.000
0.000 8.534 0.000
0.000 0.000 4.275
Mg V Ni O
14 1 1 16
Cartesian
0.000 4.267 0.000 Mg
4.267 0.000 0.000 Mg
0.000 2.126 2.137 Mg
0.000 6.408 2.137 Mg
4.267 2.121 2.137 Mg
4.267 6.413 2.137 Mg
2.126 0.000 2.137 Mg
2.121 4.267 2.137 Mg
6.408 0.000 2.137 Mg
6.413 4.267 2.137 Mg
2.123 2.123 0.000 Mg
2.123 6.411 0.000 Mg
6.411 2.123 0.000 Mg
6.411 6.411 0.000 Mg
4.267 4.267 0.000 V
0.000 0.000 0.000 Ni
2.134 0.000 0.000 O
2.087 4.267 0.000 O
6.400 0.000 0.000 O
6.447 4.267 0.000 O
2.134 2.134 2.137 O
2.134 6.399 2.137 O
6.399 2.134 2.137 O
6.399 6.399 2.137 O
0.000 0.000 2.137 O
0.000 4.267 2.137 O
4.267 0.000 2.137 O
4.267 4.267 2.137 O
0.000 2.134 0.000 O
0.000 6.400 0.000 O
4.267 2.087 0.000 O
4.267 6.447 0.000 O
```

The calculation puts the total magnetic moment at 5.000 μB per formula unit. As for the total energy after the MP2020 corrections: -6.5068 eV/atom. Its crystal system is tetragonal. The total energy comes out at -6.03 eV per atom.